# Li3BiS3

Crystalline Li3BiS3 at its relaxed geometry (GGA-PBE, Materials Project).

Structure (CIF):
```
data_Li3BiS3
_chemical_formula_sum 'Li6 Bi2 S6'
_symmetry_space_group_name_H-M 'P 1'
_symmetry_Int_Tables_number 1
_cell_length_a 7.7492
_cell_length_b 7.7492
_cell_length_c 7.7492
_cell_angle_alpha 54.80
_cell_angle_beta 54.80
_cell_angle_gamma 54.80
loop_
_symmetry_equiv_pos_as_xyz
'x,y,z'
loop_
_atom_site_label
_atom_site_type_symbol
_atom_site_fract_x
_atom_site_fract_y
_atom_site_fract_z
Li1 Li 0.1314 0.4112 0.8163
Li2 Li 0.1837 0.8686 0.5888
Li3 Li 0.4112 0.8163 0.1314
Li4 Li 0.5888 0.1837 0.8686
Li5 Li 0.8163 0.1314 0.4112
Li6 Li 0.8686 0.5888 0.1837
Bi1 Bi 0.3303 0.3303 0.3303
Bi2 Bi 0.6697 0.6697 0.6697
S1 S 0.0777 0.7266 0.4570
S2 S 0.2734 0.5430 0.9223
S3 S 0.4570 0.0777 0.7266
S4 S 0.5430 0.9223 0.2734
S5 S 0.7266 0.4570 0.0777
S6 S 0.9223 0.2734 0.5430
```

Density: 3.74 Mg/m³
Energy of formation from the pure elements: -1183 meV per atom
MP2020-corrected energy: -4.330 eV per atom
Electronic total energy: -4.11 eV/atom